[1]
A plane-wave DFT calculation with r2SCAN was carried out for crystalline BaSnHg at its relaxed geometry.

Computed properties:
Space group   No. 194
Formation energy   -2.0 eV per formula unit
Mass density   7.32 g/cm³
Total magnetic moment   0.0000 μB/atom

Cell: 4.956 4.956 9.733 Å, 90.00 90.00 120.00°
Fractional coordinates of all 6 atoms:
Ba: 0.000 0.000 0.000
Ba: 0.000 0.000 0.500
Sn: 0.333 0.667 0.250
Sn: 0.667 0.333 0.750
Hg: 0.333 0.667 0.750
Hg: 0.667 0.333 0.250



[2]
A plane-wave DFT calculation with r2SCAN was carried out for crystalline BaSrHg2 at its relaxed geometry.

Computed properties:
Space group   No. 225
Formation energy   -2.1 eV per formula unit
Mass density   7.67 g/cm³
Total magnetic moment   0.0001 μB/atom

Cell: 8.155 8.155 8.155 Å, 90.00 90.00 90.00°
Fractional coordinates of all 16 atoms:
Ba: 0.000 0.000 0.000
Ba: 0.000 0.500 0.500
Ba: 0.500 0.000 0.500
Ba: 0.500 0.500 0.000
Sr: 0.000 0.000 0.500
Sr: 0.000 0.500 0.000
Sr: 0.500 0.000 0.000
Sr: 0.500 0.500 0.500
Hg: 0.250 0.250 0.250
Hg: 0.250 0.250 0.750
Hg: 0.250 0.750 0.250
Hg: 0.250 0.750 0.750
Hg: 0.750 0.250 0.250
Hg: 0.750 0.250 0.750
Hg: 0.750 0.750 0.250
Hg: 0.750 0.750 0.750



[3]
A plane-wave DFT calculation with r2SCAN was carried out for crystalline BaHo2O4 at its relaxed geometry.

Computed properties:
Space group   No. 62
Formation energy   -25.3 eV per formula unit
Mass density   8.18 g/cm³
Total magnetic moment   0.0000 μB/atom

Cell: 10.401 3.439 12.066 Å, 90.00 90.00 90.00°
Fractional coordinates of all 28 atoms:
Ba: 0.247 0.250 0.149
Ba: 0.253 0.750 0.649
Ba: 0.747 0.250 0.351
Ba: 0.753 0.750 0.851
Ho: 0.073 0.250 0.389
Ho: 0.078 0.250 0.891
Ho: 0.422 0.750 0.391
Ho: 0.427 0.750 0.889
Ho: 0.573 0.250 0.111
Ho: 0.578 0.250 0.609
Ho: 0.922 0.750 0.109
Ho: 0.927 0.750 0.611
O: 0.019 0.750 0.783
O: 0.069 0.250 0.574
O: 0.114 0.750 0.018
O: 0.210 0.750 0.343
O: 0.290 0.250 0.843
O: 0.386 0.250 0.518
O: 0.431 0.750 0.074
O: 0.481 0.250 0.283
O: 0.519 0.750 0.717
O: 0.569 0.250 0.926
O: 0.614 0.750 0.482
O: 0.710 0.750 0.157
O: 0.790 0.250 0.657
O: 0.886 0.250 0.982
O: 0.931 0.750 0.426
O: 0.981 0.250 0.217



[4]
A plane-wave DFT calculation with r2SCAN was carried out for crystalline Ba2HoPaO6 at its relaxed geometry.

Computed properties:
Space group   No. 225
Formation energy   -36.3 eV per formula unit
Mass density   7.51 g/cm³
Total magnetic moment   0.0000 μB/atom

Cell: 6.212 6.212 6.212 Å, 60.00 60.00 60.00°
Fractional coordinates of all 10 atoms:
Ba: 0.250 0.250 0.250
Ba: 0.750 0.750 0.750
Ho: 0.000 0.000 0.000
Pa: 0.500 0.500 0.500
O: 0.253 0.253 0.747
O: 0.253 0.747 0.253
O: 0.253 0.747 0.747
O: 0.747 0.253 0.253
O: 0.747 0.253 0.747
O: 0.747 0.747 0.253



[5]
A plane-wave DFT calculation with r2SCAN was carried out for crystalline BaHo2S4 at its relaxed geometry.

Computed properties:
Space group   No. 62
Formation energy   -17.1 eV per formula unit
Mass density   5.53 g/cm³
Total magnetic moment   0.0000 μB/atom

Cell: 12.274 4.028 14.477 Å, 90.00 90.00 90.00°
Fractional coordinates of all 28 atoms:
Ba: 0.243 0.250 0.161
Ba: 0.257 0.750 0.661
Ba: 0.743 0.250 0.339
Ba: 0.757 0.750 0.839
Ho: 0.067 0.250 0.391
Ho: 0.078 0.250 0.898
Ho: 0.422 0.750 0.398
Ho: 0.433 0.750 0.891
Ho: 0.567 0.250 0.109
Ho: 0.578 0.250 0.602
Ho: 0.922 0.750 0.102
Ho: 0.933 0.750 0.609
S: 0.022 0.750 0.783
S: 0.080 0.250 0.577
S: 0.123 0.750 0.023
S: 0.208 0.750 0.339
S: 0.292 0.250 0.839
S: 0.377 0.250 0.523
S: 0.420 0.750 0.077
S: 0.478 0.250 0.283
S: 0.522 0.750 0.717
S: 0.580 0.250 0.923
S: 0.623 0.750 0.477
S: 0.708 0.750 0.161
S: 0.792 0.250 0.661
S: 0.877 0.250 0.977
S: 0.920 0.750 0.423
S: 0.978 0.250 0.217



[6]
A plane-wave DFT calculation with r2SCAN was carried out for crystalline KBa2I5 at its relaxed geometry.

Computed properties:
Space group   No. 14
Formation energy   -15.7 eV per formula unit
Mass density   4.35 g/cm³
Total magnetic moment   0.0000 μB/atom

Cell: 10.383 9.324 14.951 Å, 90.00 90.29 90.00°
Fractional coordinates of all 32 atoms:
K: 0.000 0.025 0.177
K: 0.000 0.475 0.677
K: 0.000 0.525 0.323
K: 0.000 0.975 0.823
Ba: 0.246 0.578 0.007
Ba: 0.246 0.922 0.507
Ba: 0.500 0.027 0.178
Ba: 0.500 0.473 0.678
Ba: 0.500 0.527 0.322
Ba: 0.500 0.973 0.822
Ba: 0.754 0.078 0.493
Ba: 0.754 0.422 0.993
I: 0.042 0.167 0.400
I: 0.042 0.333 0.900
I: 0.262 0.696 0.780
I: 0.262 0.804 0.280
I: 0.269 0.538 0.502
I: 0.269 0.962 0.002
I: 0.275 0.170 0.684
I: 0.275 0.330 0.184
I: 0.457 0.165 0.402
I: 0.457 0.335 0.902
I: 0.543 0.665 0.098
I: 0.543 0.835 0.598
I: 0.725 0.670 0.816
I: 0.725 0.830 0.316
I: 0.731 0.038 0.998
I: 0.731 0.462 0.498
I: 0.738 0.196 0.720
I: 0.738 0.304 0.220
I: 0.958 0.667 0.100
I: 0.958 0.833 0.600